No. 1
K4Ge2Au7 | GGA-PBE | optimized geometry

Unit cell a=10.250 b=10.250 c=10.250 alpha=37.63 beta=37.63 gamma=37.63
Element x y z (fractional)
K 0.683 0.683 0.683
K 0.317 0.317 0.317
K 0.811 0.811 0.811
K 0.189 0.189 0.189
Ge 0.545 0.545 0.545
Ge 0.455 0.455 0.455
Au 0.000 0.000 0.000
Au 0.223 0.223 0.795
Au 0.795 0.223 0.223
Au 0.223 0.795 0.223
Au 0.777 0.205 0.777
Au 0.777 0.777 0.205
Au 0.205 0.777 0.777


No. 2
K2InAsCl6 | GGA-PBE | optimized geometry

Summary:
corrected total energy (MP2020 scheme): -3.633 eV/atom

Unit cell a=7.677 b=7.677 c=7.677 alpha=60.00 beta=60.00 gamma=60.00
Element x y z (fractional)
K 0.750 0.750 0.750
K 0.250 0.250 0.250
In 0.500 0.500 0.500
As 0.000 0.000 0.000
Cl 0.767 0.233 0.233
Cl 0.233 0.233 0.767
Cl 0.233 0.767 0.767
Cl 0.233 0.767 0.233
Cl 0.767 0.233 0.767
Cl 0.767 0.767 0.233


No. 3
Np2N3 | GGA-PBE | optimized geometry

Summary:
corrected total energy (MP2020 scheme): -11.560 eV/atom

Unit cell a=9.168 b=9.168 c=9.168 alpha=109.47 beta=109.47 gamma=109.47
Element x y z (fractional)
Np 0.500 0.000 0.500
Np 0.500 0.500 0.000
Np 0.000 0.500 0.500
Np 0.000 0.000 0.000
Np 0.774 0.250 0.024
Np 0.726 0.750 0.476
Np 0.250 0.024 0.774
Np 0.750 0.476 0.726
Np 0.024 0.774 0.250
Np 0.476 0.726 0.750
Np 0.226 0.750 0.976
Np 0.274 0.250 0.524
Np 0.750 0.976 0.226
Np 0.250 0.524 0.274
Np 0.976 0.226 0.750
Np 0.524 0.274 0.250
N 0.497 0.234 0.470
N 0.237 0.266 0.763
N 0.003 0.473 0.737
N 0.263 0.027 0.030
N 0.234 0.470 0.497
N 0.266 0.763 0.237
N 0.473 0.737 0.003
N 0.027 0.030 0.263
N 0.470 0.497 0.234
N 0.763 0.237 0.266
N 0.737 0.003 0.473
N 0.030 0.263 0.027
N 0.503 0.766 0.530
N 0.763 0.734 0.237
N 0.997 0.527 0.263
N 0.737 0.973 0.970
N 0.766 0.530 0.503
N 0.734 0.237 0.763
N 0.527 0.263 0.997
N 0.973 0.970 0.737
N 0.530 0.503 0.766
N 0.237 0.763 0.734
N 0.263 0.997 0.527
N 0.970 0.737 0.973


No. 4
SrZn5 | GGA-PBE | optimized geometry

Unit cell a=5.232 b=6.862 c=13.167 alpha=90.00 beta=90.00 gamma=90.00
Element x y z (fractional)
Sr 0.250 0.647 0.911
Sr 0.250 0.853 0.411
Sr 0.750 0.353 0.089
Sr 0.750 0.147 0.589
Zn 0.250 0.339 0.714
Zn 0.250 0.161 0.214
Zn 0.750 0.661 0.286
Zn 0.750 0.839 0.786
Zn 0.250 0.958 0.706
Zn 0.250 0.542 0.206
Zn 0.750 0.042 0.294
Zn 0.750 0.458 0.794
Zn 0.998 0.153 0.857
Zn 0.502 0.347 0.357
Zn 0.498 0.847 0.143
Zn 0.002 0.653 0.643
Zn 0.002 0.847 0.143
Zn 0.498 0.653 0.643
Zn 0.502 0.153 0.857
Zn 0.998 0.347 0.357
Zn 0.250 0.406 0.522
Zn 0.250 0.094 0.022
Zn 0.750 0.594 0.478
Zn 0.750 0.906 0.978


No. 5
TiZn2IrO6 | GGA-PBE | optimized geometry

Summary:
corrected total energy (MP2020 scheme): -6.887 eV/atom

Unit cell a=5.241 b=5.222 c=9.237 alpha=55.88 beta=90.00 gamma=90.00
Element x y z (fractional)
Ti 0.500 0.000 0.000
Ti 0.000 0.000 0.500
Zn 0.968 0.255 0.751
Zn 0.468 0.745 0.749
Zn 0.532 0.255 0.251
Zn 0.032 0.745 0.249
Ir 0.500 0.500 0.500
Ir 0.000 0.500 0.000
O 0.421 0.633 0.250
O 0.182 0.891 0.936
O 0.175 0.259 0.563
O 0.675 0.741 0.937
O 0.682 0.109 0.564
O 0.921 0.367 0.250
O 0.079 0.633 0.750
O 0.318 0.891 0.436
O 0.325 0.259 0.063
O 0.818 0.109 0.064
O 0.825 0.741 0.437
O 0.579 0.367 0.750


No. 6
MoS4N2 | GGA-PBE | optimized geometry

Summary:
corrected total energy (MP2020 scheme): -5.075 eV/atom

Unit cell a=7.259 b=9.908 c=12.664 alpha=90.00 beta=90.00 gamma=90.00
Element x y z (fractional)
Mo 0.250 0.252 0.926
Mo 0.250 0.752 0.574
Mo 0.750 0.748 0.074
Mo 0.750 0.248 0.426
S 0.005 0.346 0.859
S 0.495 0.846 0.641
S 0.505 0.654 0.141
S 0.995 0.154 0.359
S 0.995 0.654 0.141
S 0.505 0.154 0.359
S 0.495 0.346 0.859
S 0.005 0.846 0.641
S 0.250 0.284 0.098
S 0.250 0.784 0.402
S 0.750 0.716 0.902
S 0.750 0.216 0.598
S 0.250 0.036 0.891
S 0.250 0.536 0.609
S 0.750 0.964 0.109
S 0.750 0.464 0.391
N 0.250 0.662 0.892
N 0.250 0.162 0.608
N 0.750 0.338 0.108
N 0.750 0.838 0.392
N 0.250 0.456 0.336
N 0.250 0.956 0.164
N 0.750 0.544 0.664
N 0.750 0.044 0.836


No. 7
SrLi2Si2N4 | GGA-PBE | optimized geometry

Summary:
corrected total energy (MP2020 scheme): -6.747 eV/atom

Unit cell a=10.788 b=10.788 c=10.788 alpha=90.00 beta=90.00 gamma=90.00
Element x y z (fractional)
Sr 0.500 0.000 0.000
Sr 0.000 0.000 0.500
Sr 0.000 0.500 0.000
Sr 0.500 0.500 0.500
Sr 0.218 0.218 0.218
Sr 0.282 0.782 0.718
Sr 0.718 0.282 0.782
Sr 0.782 0.718 0.282
Sr 0.782 0.782 0.782
Sr 0.718 0.218 0.282
Sr 0.282 0.718 0.218
Sr 0.218 0.282 0.718
Li 0.233 0.973 0.111
Li 0.267 0.027 0.611
Li 0.733 0.527 0.889
Li 0.767 0.473 0.389
Li 0.111 0.233 0.973
Li 0.973 0.111 0.233
Li 0.389 0.767 0.473
Li 0.027 0.611 0.267
Li 0.611 0.267 0.027
Li 0.527 0.889 0.733
Li 0.889 0.733 0.527
Li 0.473 0.389 0.767
Li 0.767 0.027 0.889
Li 0.733 0.973 0.389
Li 0.267 0.473 0.111
Li 0.233 0.527 0.611
Li 0.889 0.767 0.027
Li 0.027 0.889 0.767
Li 0.611 0.233 0.527
Li 0.973 0.389 0.733
Li 0.389 0.733 0.973
Li 0.473 0.111 0.267
Li 0.111 0.267 0.473
Li 0.527 0.611 0.233
Si 0.480 0.371 0.244
Si 0.020 0.629 0.744
Si 0.980 0.129 0.756
Si 0.520 0.871 0.256
Si 0.244 0.480 0.371
Si 0.371 0.244 0.480
Si 0.256 0.520 0.871
Si 0.629 0.744 0.020
Si 0.744 0.020 0.629
Si 0.129 0.756 0.980
Si 0.756 0.980 0.129
Si 0.871 0.256 0.520
Si 0.520 0.629 0.756
Si 0.980 0.371 0.256
Si 0.020 0.871 0.244
Si 0.480 0.129 0.744
Si 0.756 0.520 0.629
Si 0.629 0.756 0.520
Si 0.744 0.480 0.129
Si 0.371 0.256 0.980
Si 0.256 0.980 0.371
Si 0.871 0.244 0.020
Si 0.244 0.020 0.871
Si 0.129 0.744 0.480
N 0.273 0.124 0.992
N 0.227 0.876 0.492
N 0.773 0.376 0.008
N 0.727 0.624 0.508
N 0.992 0.273 0.124
N 0.124 0.992 0.273
N 0.508 0.727 0.624
N 0.876 0.492 0.227
N 0.492 0.227 0.876
N 0.376 0.008 0.773
N 0.008 0.773 0.376
N 0.624 0.508 0.727
N 0.727 0.876 0.008
N 0.773 0.124 0.508
N 0.227 0.624 0.992
N 0.273 0.376 0.492
N 0.008 0.727 0.876
N 0.876 0.008 0.727
N 0.492 0.273 0.376
N 0.124 0.508 0.773
N 0.508 0.773 0.124
N 0.624 0.992 0.227
N 0.992 0.227 0.624
N 0.376 0.492 0.273
N 0.268 0.125 0.443
N 0.232 0.875 0.943
N 0.768 0.375 0.557
N 0.732 0.625 0.057
N 0.443 0.268 0.125
N 0.125 0.443 0.268
N 0.057 0.732 0.625
N 0.875 0.943 0.232
N 0.943 0.232 0.875
N 0.375 0.557 0.768
N 0.557 0.768 0.375
N 0.625 0.057 0.732
N 0.732 0.875 0.557
N 0.768 0.125 0.057
N 0.232 0.625 0.443
N 0.268 0.375 0.943
N 0.557 0.732 0.875
N 0.875 0.557 0.732
N 0.943 0.268 0.375
N 0.125 0.057 0.768
N 0.057 0.768 0.125
N 0.625 0.443 0.232
N 0.443 0.232 0.625
N 0.375 0.943 0.268


No. 8
PPb3 | GGA-PBE | optimized geometry

Summary:
energy above the most stable polymorph in this dataset: 0.008 eV per atom

Unit cell a=6.281 b=6.281 c=6.281 alpha=137.24 beta=137.24 gamma=62.07
Element x y z (fractional)
P 0.000 0.000 0.000
Pb 0.750 0.250 0.500
Pb 0.250 0.750 0.500
Pb 0.500 0.500 0.000


E_tot? In order: -3.17; -3.26; -11.34; -1.55; -6.47; -4.68; -6.59; -3.87 eV per atom.
Formation energy? In order: -4.55; -15.61; -6.89; -1.34; -19.93; 8.54; -11.01; 1.06 eV per formula unit.